1.
Compound: Li3TaF6
Source: the Materials Project
Functional: GGA-PBE
Structure: relaxed

Total magnetization ... 0.000 μB per formula unit
Energy of formation ... -2.9073 eV/atom
Corrected total energy (MP2020 scheme) ... -5.81 eV/atom

abc: 4.914 5.844 6.237
angles: 117.11 111.85 90.02
Fractional coordinates of all 10 atoms:
Li1 0.000 0.000 0.000
Li2 0.000 0.500 0.000
Li3 0.500 0.000 0.500
Ta1 0.000 0.500 0.500
F1 0.150 0.729 0.376
F2 0.205 0.715 0.932
F3 0.240 0.214 0.377
F4 0.760 0.786 0.623
F5 0.795 0.285 0.068
F6 0.850 0.271 0.624

2.
Compound: Eu5P3O13
Source: the Materials Project
Functional: GGA-PBE
Structure: relaxed

Total magnetization ... 34.000 μB per formula unit
Energy of formation ... -3.3251 eV/atom
Corrected total energy (MP2020 scheme) ... -9.60 eV/atom

abc: 9.747 9.747 7.289
angles: 90.00 90.00 120.00
Fractional coordinates of all 42 atoms:
Eu1 0.010 0.235 0.250
Eu2 0.225 0.990 0.250
Eu3 0.235 0.225 0.750
Eu4 0.333 0.667 0.501
Eu5 0.333 0.667 0.999
Eu6 0.667 0.333 0.001
Eu7 0.667 0.333 0.499
Eu8 0.765 0.775 0.250
Eu9 0.775 0.010 0.750
Eu10 0.990 0.765 0.750
P1 0.031 0.401 0.750
P2 0.370 0.969 0.750
P3 0.401 0.370 0.250
P4 0.599 0.630 0.750
P5 0.630 0.031 0.250
P6 0.969 0.599 0.250
O1 0.000 0.000 0.250
O2 0.000 0.000 0.750
O3 0.084 0.346 0.577
O4 0.084 0.346 0.923
O5 0.120 0.585 0.750
O6 0.152 0.671 0.250
O7 0.262 0.916 0.577
O8 0.262 0.916 0.923
O9 0.329 0.480 0.250
O10 0.346 0.262 0.077
O11 0.346 0.262 0.423
O12 0.415 0.535 0.750
O13 0.465 0.880 0.750
O14 0.480 0.152 0.750
O15 0.520 0.848 0.250
O16 0.535 0.120 0.250
O17 0.585 0.465 0.250
O18 0.654 0.738 0.577
O19 0.654 0.738 0.923
O20 0.671 0.520 0.750
O21 0.738 0.084 0.077
O22 0.738 0.084 0.423
O23 0.848 0.329 0.750
O24 0.880 0.415 0.250
O25 0.916 0.654 0.077
O26 0.916 0.654 0.423

3.
Compound: SrCu2Ge2
Source: the Materials Project
Functional: GGA-PBE
Structure: relaxed

Energy of formation ... -0.3668 eV/atom

abc: 4.282 4.282 10.302
angles: 90.00 90.00 90.00
Fractional coordinates of all 10 atoms:
Sr1 0.000 0.000 0.000
Sr2 0.500 0.500 0.500
Cu1 0.000 0.500 0.250
Cu2 0.000 0.500 0.750
Cu3 0.500 0.000 0.250
Cu4 0.500 0.000 0.750
Ge1 0.000 0.000 0.373
Ge2 0.000 0.000 0.627
Ge3 0.500 0.500 0.127
Ge4 0.500 0.500 0.873

4.
Compound: Y2O3
Source: the Materials Project
Functional: GGA-PBE
Structure: relaxed

Energy of formation ... -3.9709 eV/atom
Corrected total energy (MP2020 scheme) ... -9.53 eV/atom

abc: 9.270 9.270 9.270
angles: 109.47 109.47 109.47
Fractional coordinates of all 40 atoms:
Y1 0.000 0.000 0.000
Y2 0.000 0.500 0.500
Y3 0.033 0.783 0.250
Y4 0.217 0.750 0.967
Y5 0.250 0.033 0.783
Y6 0.250 0.533 0.283
Y7 0.283 0.250 0.533
Y8 0.467 0.717 0.750
Y9 0.500 0.000 0.500
Y10 0.500 0.500 0.000
Y11 0.533 0.283 0.250
Y12 0.717 0.750 0.467
Y13 0.750 0.467 0.717
Y14 0.750 0.967 0.217
Y15 0.783 0.250 0.033
Y16 0.967 0.217 0.750
O1 0.011 0.469 0.739
O2 0.031 0.043 0.271
O3 0.043 0.271 0.031
O4 0.228 0.457 0.489
O5 0.229 0.272 0.761
O6 0.239 0.771 0.728
O7 0.261 0.989 0.531
O8 0.271 0.031 0.043
O9 0.272 0.761 0.229
O10 0.457 0.489 0.228
O11 0.469 0.739 0.011
O12 0.489 0.228 0.457
O13 0.511 0.772 0.543
O14 0.531 0.261 0.989
O15 0.543 0.511 0.772
O16 0.728 0.239 0.771
O17 0.729 0.969 0.957
O18 0.739 0.011 0.469
O19 0.761 0.229 0.272
O20 0.771 0.728 0.239
O21 0.772 0.543 0.511
O22 0.957 0.729 0.969
O23 0.969 0.957 0.729
O24 0.989 0.531 0.261

5.
Compound: K3Hf
Source: the Materials Project
Functional: GGA-PBE
Structure: relaxed

Total magnetization ... 2.927 μB per formula unit
Energy of formation ... 1.1274 eV/atom

abc: 9.185 9.185 9.185
angles: 90.00 90.00 90.00
Fractional coordinates of all 16 atoms:
K1 0.000 0.000 0.000
K2 0.000 0.500 0.500
K3 0.250 0.250 0.250
K4 0.250 0.250 0.750
K5 0.250 0.750 0.250
K6 0.250 0.750 0.750
K7 0.500 0.000 0.500
K8 0.500 0.500 0.000
K9 0.750 0.250 0.250
K10 0.750 0.250 0.750
K11 0.750 0.750 0.250
K12 0.750 0.750 0.750
Hf1 0.000 0.000 0.500
Hf2 0.000 0.500 0.000
Hf3 0.500 0.000 0.000
Hf4 0.500 0.500 0.500

6.
Compound: PuB2Os
Source: the Materials Project
Functional: GGA-PBE
Structure: relaxed

Energy of formation ... -0.4340 eV/atom

abc: 5.752 5.368 6.456
angles: 90.00 90.00 90.00
Fractional coordinates of all 16 atoms:
Pu1 0.002 0.250 0.166
Pu2 0.498 0.750 0.666
Pu3 0.502 0.250 0.334
Pu4 0.998 0.750 0.834
B1 0.136 0.584 0.463
B2 0.136 0.916 0.463
B3 0.364 0.084 0.963
B4 0.364 0.416 0.963
B5 0.636 0.584 0.037
B6 0.636 0.916 0.037
B7 0.864 0.084 0.537
B8 0.864 0.416 0.537
Os1 0.187 0.250 0.685
Os2 0.313 0.750 0.185
Os3 0.687 0.250 0.815
Os4 0.813 0.750 0.315

7.
Compound: YGaIr
Source: the Materials Project
Functional: GGA-PBE
Structure: relaxed

Energy of formation ... -0.8738 eV/atom

abc: 6.840 4.412 7.713
angles: 90.00 90.00 90.00
Fractional coordinates of all 12 atoms:
Y1 0.017 0.250 0.193
Y2 0.483 0.750 0.693
Y3 0.517 0.250 0.307
Y4 0.983 0.750 0.807
Ga1 0.165 0.250 0.575
Ga2 0.335 0.750 0.075
Ga3 0.665 0.250 0.925
Ga4 0.835 0.750 0.425
Ir1 0.225 0.750 0.398
Ir2 0.275 0.250 0.898
Ir3 0.725 0.750 0.102
Ir4 0.775 0.250 0.602

8.
Compound: NaCoN
Source: the Materials Project
Functional: GGA-PBE
Structure: relaxed

Total magnetization ... 1.000 μB per formula unit
Energy of formation ... 0.2005 eV/atom
Corrected total energy (MP2020 scheme) ... -5.39 eV/atom

abc: 10.394 10.394 6.358
angles: 107.49 107.49 19.21
Fractional coordinates of all 12 atoms:
Na1 0.038 0.038 0.306
Na2 0.194 0.194 0.661
Na3 0.806 0.806 0.339
Na4 0.962 0.962 0.694
Co1 0.109 0.109 0.967
Co2 0.339 0.339 0.802
Co3 0.661 0.661 0.198
Co4 0.891 0.891 0.033
N1 0.082 0.082 0.698
N2 0.171 0.171 0.251
N3 0.829 0.829 0.749
N4 0.918 0.918 0.302

> Which formula does entry 6 have?

PuB2Os

> Which value of energy of formation does entry 6 give?

-0.4340 eV/atom

> Among the records above, which one has the lowest energy of formation?

Y2O3

Repeat the second record exactly.
Compound: Eu5P3O13
Source: the Materials Project
Functional: GGA-PBE
Structure: relaxed

Total magnetization ... 34.000 μB per formula unit
Energy of formation ... -3.3251 eV/atom
Corrected total energy (MP2020 scheme) ... -9.60 eV/atom

abc: 9.747 9.747 7.289
angles: 90.00 90.00 120.00
Fractional coordinates of all 42 atoms:
Eu1 0.010 0.235 0.250
Eu2 0.225 0.990 0.250
Eu3 0.235 0.225 0.750
Eu4 0.333 0.667 0.501
Eu5 0.333 0.667 0.999
Eu6 0.667 0.333 0.001
Eu7 0.667 0.333 0.499
Eu8 0.765 0.775 0.250
Eu9 0.775 0.010 0.750
Eu10 0.990 0.765 0.750
P1 0.031 0.401 0.750
P2 0.370 0.969 0.750
P3 0.401 0.370 0.250
P4 0.599 0.630 0.750
P5 0.630 0.031 0.250
P6 0.969 0.599 0.250
O1 0.000 0.000 0.250
O2 0.000 0.000 0.750
O3 0.084 0.346 0.577
O4 0.084 0.346 0.923
O5 0.120 0.585 0.750
O6 0.152 0.671 0.250
O7 0.262 0.916 0.577
O8 0.262 0.916 0.923
O9 0.329 0.480 0.250
O10 0.346 0.262 0.077
O11 0.346 0.262 0.423
O12 0.415 0.535 0.750
O13 0.465 0.880 0.750
O14 0.480 0.152 0.750
O15 0.520 0.848 0.250
O16 0.535 0.120 0.250
O17 0.585 0.465 0.250
O18 0.654 0.738 0.577
O19 0.654 0.738 0.923
O20 0.671 0.520 0.750
O21 0.738 0.084 0.077
O22 0.738 0.084 0.423
O23 0.848 0.329 0.750
O24 0.880 0.415 0.250
O25 0.916 0.654 0.077
O26 0.916 0.654 0.423